#A
Below is a relaxed structure of TiCuP2O8, with properties calculated at the PBE-GGA level.

abc: 4.9244 5.9846 9.8568
angles: 90.00 90.77 90.00
Closest atoms and distances in Å follow each position.
Fractional positions:
Ti 0.0271 0.2500 0.2766  6 O 1.91-2.06
Ti 0.9729 0.7500 0.7234  6 O 1.91-2.06
Cu 0.4188 0.2500 0.7844  4 O 1.89-2.05
Cu 0.5812 0.7500 0.2156  4 O 1.89-2.05
P 0.0667 0.7500 0.3988  4 O 1.53-1.57
P 0.4099 0.7500 0.9030  4 O 1.51-1.58
P 0.5901 0.2500 0.0970  4 O 1.51-1.58
P 0.9333 0.2500 0.6012  4 O 1.53-1.57
O 0.1490 0.7500 0.5521  1 P 1.56
O 0.1955 0.5404 0.3292  1 P 1.57
O 0.1955 0.9596 0.3292  1 P 1.57
O 0.2430 0.2500 0.6124  1 P 1.53
O 0.2517 0.5556 0.8275  1 P 1.58
O 0.2517 0.9444 0.8275  1 P 1.58
O 0.2873 0.2500 0.1321  1 P 1.53
O 0.3623 0.7500 0.0541  1 P 1.51
O 0.6377 0.2500 0.9459  1 P 1.51
O 0.7127 0.7500 0.8679  1 P 1.53
O 0.7483 0.0556 0.1725  1 P 1.58
O 0.7483 0.4444 0.1725  1 P 1.58
O 0.7570 0.7500 0.3876  1 P 1.53
O 0.8045 0.0404 0.6708  1 P 1.57
O 0.8045 0.4596 0.6708  1 P 1.57
O 0.8510 0.2500 0.4479  1 P 1.56

#B
Below is a relaxed structure of TiCuP2O8, with properties calculated at the PBE-GGA level.

abc: 8.5853 8.5853 8.5853
angles: 60.20 60.20 60.20
Closest atoms and distances in Å follow each position.
Fractional positions:
Ti 0.0000 0.0000 0.0000  6 O 1.90-1.99
Ti 0.2139 0.2139 0.2139  6 O 1.90-2.02
Ti 0.7132 0.7132 0.7132  6 O 1.89-2.03
Cu 0.3593 0.3593 0.3593  6 O 2.17-2.28
Cu 0.5014 0.5014 0.5014  6 O 1.94-2.07
Cu 0.8571 0.8571 0.8571  6 O 2.26-2.28
P 0.1098 0.8117 0.3987  4 O 1.54-1.56
P 0.3155 0.6050 0.8957  4 O 1.50-1.57
P 0.3987 0.1098 0.8117  4 O 1.54-1.56
P 0.6050 0.8957 0.3155  4 O 1.50-1.57
P 0.8117 0.3987 0.1098  4 O 1.54-1.56
P 0.8957 0.3155 0.6050  4 O 1.50-1.57
O 0.0475 0.8593 0.2352  1 P 1.54
O 0.0924 0.3009 0.4409  1 P 1.57
O 0.1226 0.7723 0.9198  1 P 1.56
O 0.1654 0.9785 0.3558  1 P 1.55
O 0.2352 0.0475 0.8593  1 P 1.54
O 0.2729 0.6202 0.4083  1 P 1.54
O 0.3009 0.4409 0.0924  1 P 1.57
O 0.3417 0.5513 0.7403  1 P 1.50
O 0.3558 0.1654 0.9785  1 P 1.55
O 0.4083 0.2729 0.6202  1 P 1.54
O 0.4409 0.0924 0.3009  1 P 1.57
O 0.4807 0.6629 0.8544  1 P 1.55
O 0.5513 0.7403 0.3417  1 P 1.50
O 0.5904 0.9415 0.8004  1 P 1.56
O 0.6202 0.4083 0.2729  1 P 1.54
O 0.6629 0.8544 0.4807  1 P 1.55
O 0.7403 0.3417 0.5513  1 P 1.50
O 0.7723 0.9198 0.1226  1 P 1.56
O 0.8004 0.5904 0.9415  1 P 1.56
O 0.8544 0.4807 0.6629  1 P 1.55
O 0.8593 0.2352 0.0475  1 P 1.54
O 0.9198 0.1226 0.7723  1 P 1.56
O 0.9415 0.8004 0.5904  1 P 1.56
O 0.9785 0.3558 0.1654  1 P 1.55

If we sort the structures by their calculated energies, the order from most to least stable is #A, #B.

#A
Below is a relaxed structure of U2CuP2O20, with properties calculated at the PBE-GGA level.

abc: 6.9923 6.9923 9.0819
angles: 90.00 90.00 90.00
Closest atoms and distances in Å follow each position.
Fractional positions:
U 0.0000 0.0000 0.0000  2 O 1.82-1.83
U 0.5000 0.5000 0.2199  2 O 1.81
Cu 0.0000 0.0000 0.5040  4 O 1.77
P 0.0000 0.5000 0.1091  4 O 1.54-1.55
P 0.5000 0.0000 0.1091  4 O 1.54-1.55
O 0.0000 0.0000 0.2003  1 U 1.82
O 0.0000 0.0000 0.7984  1 U 1.83
O 0.0000 0.2531 0.5107  1 Cu 1.77
O 0.0000 0.3216 0.0082  1 P 1.55
O 0.0000 0.6784 0.0082  1 P 1.55
O 0.0000 0.7469 0.5107  1 Cu 1.77
O 0.1787 0.5000 0.2088  1 P 1.54
O 0.2531 0.0000 0.5107  1 Cu 1.77
O 0.3216 0.0000 0.0082  1 P 1.55
O 0.3538 0.5000 0.7096  2 O 1.45
O 0.5000 0.1787 0.2088  1 P 1.54
O 0.5000 0.3538 0.7096  2 O 1.45
O 0.5000 0.5000 0.0202  1 U 1.81
O 0.5000 0.5000 0.4197  1 U 1.81
O 0.5000 0.6462 0.7096  2 O 1.45
O 0.5000 0.8213 0.2088  1 P 1.54
O 0.6462 0.5000 0.7096  2 O 1.45
O 0.6784 0.0000 0.0082  1 P 1.55
O 0.7469 0.0000 0.5107  1 Cu 1.77
O 0.8213 0.5000 0.2088  1 P 1.54

#B
Below is a relaxed structure of U2CuP2O20, with properties calculated at the PBE-GGA level.

abc: 7.0107 7.0107 18.0523
angles: 90.00 90.00 90.00
Closest atoms and distances in Å follow each position.
Fractional positions:
U 0.2500 0.2500 0.0544  2 O 1.81-1.83
U 0.2500 0.2500 0.5558  2 O 1.81-1.83
U 0.7500 0.7500 0.4442  2 O 1.81-1.83
U 0.7500 0.7500 0.9456  2 O 1.81-1.83
Cu 0.2500 0.2500 0.8115  4 O 1.77
Cu 0.7500 0.7500 0.1885  4 O 1.77
P 0.2500 0.7500 0.0000  4 O 1.55
P 0.2500 0.7500 0.5000  4 O 1.55
P 0.7500 0.2500 0.0000  4 O 1.55
P 0.7500 0.2500 0.5000  4 O 1.55
O 0.0716 0.0716 0.8051  1 Cu 1.77
O 0.0716 0.4284 0.8051  1 Cu 1.77
O 0.0716 0.7500 0.9497  1 P 1.55
O 0.0727 0.7500 0.4489  1 P 1.55
O 0.1468 0.1468 0.3159  2 O 1.45
O 0.1468 0.3532 0.3159  2 O 1.45
O 0.2500 0.2500 0.1548  1 U 1.81
O 0.2500 0.2500 0.4557  1 U 1.81
O 0.2500 0.2500 0.6571  1 U 1.83
O 0.2500 0.2500 0.9528  1 U 1.83
O 0.2500 0.5716 0.0503  1 P 1.55
O 0.2500 0.5727 0.5511  1 P 1.55
O 0.2500 0.9273 0.5511  1 P 1.55
O 0.2500 0.9284 0.0503  1 P 1.55
O 0.3532 0.1468 0.3159  2 O 1.45
O 0.3532 0.3532 0.3159  2 O 1.45
O 0.4273 0.7500 0.4489  1 P 1.55
O 0.4284 0.0716 0.8051  1 Cu 1.77
O 0.4284 0.4284 0.8051  1 Cu 1.77
O 0.4284 0.7500 0.9497  1 P 1.55
O 0.5716 0.2500 0.0503  1 P 1.55
O 0.5716 0.5716 0.1949  1 Cu 1.77
O 0.5716 0.9284 0.1949  1 Cu 1.77
O 0.5727 0.2500 0.5511  1 P 1.55
O 0.6468 0.6468 0.6841  2 O 1.45
O 0.6468 0.8532 0.6841  2 O 1.45
O 0.7500 0.0716 0.9497  1 P 1.55
O 0.7500 0.0727 0.4489  1 P 1.55
O 0.7500 0.4273 0.4489  1 P 1.55
O 0.7500 0.4284 0.9497  1 P 1.55
O 0.7500 0.7500 0.0472  1 U 1.83
O 0.7500 0.7500 0.3429  1 U 1.83
O 0.7500 0.7500 0.5443  1 U 1.81
O 0.7500 0.7500 0.8452  1 U 1.81
O 0.8532 0.6468 0.6841  2 O 1.45
O 0.8532 0.8532 0.6841  2 O 1.45
O 0.9273 0.2500 0.5511  1 P 1.55
O 0.9284 0.2500 0.0503  1 P 1.55
O 0.9284 0.5716 0.1949  1 Cu 1.77
O 0.9284 0.9284 0.1949  1 Cu 1.77

If we sort the structures by their calculated energies, the order from most to least stable is #A, #B.

#A
Below is a relaxed structure of Cu6PbO8, with properties calculated at the PBE-GGA level.

abc: 6.6056 6.6056 6.6056
angles: 60.00 60.00 60.00
Closest atoms and distances in Å follow each position.
Fractional positions:
Cu 0.0000 0.0000 0.5000  4 O 1.94
Cu 0.0000 0.5000 0.0000  4 O 1.94
Cu 0.0000 0.5000 0.5000  4 O 1.94
Cu 0.5000 0.0000 0.0000  4 O 1.94
Cu 0.5000 0.0000 0.5000  4 O 1.94
Cu 0.5000 0.5000 0.0000  4 O 1.94
Pb 0.0000 0.0000 0.0000  8 O 2.33
O 0.1442 0.1442 0.1442  3 Cu 1.94
O 0.1442 0.1442 0.5673  3 Cu 1.94
O 0.1442 0.5673 0.1442  3 Cu 1.94
O 0.4327 0.8558 0.8558  3 Cu 1.94
O 0.5673 0.1442 0.1442  3 Cu 1.94
O 0.8558 0.4327 0.8558  3 Cu 1.94
O 0.8558 0.8558 0.4327  3 Cu 1.94
O 0.8558 0.8558 0.8558  3 Cu 1.94

#B
Below is a relaxed structure of Cu6PbO8, with properties calculated at the PBE-GGA level.

abc: 6.1014 6.1014 6.1014
angles: 60.00 60.00 60.00
Closest atoms and distances in Å follow each position.
Fractional positions:
Cu 0.0000 0.0000 0.5000  6 O 2.16
Cu 0.0000 0.5000 0.0000  6 O 2.16
Cu 0.0000 0.5000 0.5000  6 O 2.16
Cu 0.5000 0.0000 0.0000  6 O 2.16
Cu 0.5000 0.0000 0.5000  6 O 2.16
Cu 0.5000 0.5000 0.0000  6 O 2.16
Pb 0.0000 0.0000 0.0000  6 O 2.17
O 0.2500 0.2500 0.2500  6 Cu 2.16
O 0.2515 0.2515 0.7485  4 Cu 2.16, 1 Pb 2.17
O 0.2515 0.7485 0.2515  4 Cu 2.16, 1 Pb 2.17
O 0.2515 0.7485 0.7485  4 Cu 2.16, 1 Pb 2.17
O 0.7485 0.2515 0.2515  4 Cu 2.16, 1 Pb 2.17
O 0.7485 0.2515 0.7485  4 Cu 2.16, 1 Pb 2.17
O 0.7485 0.7485 0.2515  4 Cu 2.16, 1 Pb 2.17
O 0.7500 0.7500 0.7500  6 Cu 2.16

#C
Below is a relaxed structure of Cu6PbO8, with properties calculated at the PBE-GGA level.

abc: 6.1895 6.1895 6.1895
angles: 122.58 120.00 87.79
Closest atoms and distances in Å follow each position.
Fractional positions:
Cu 0.0000 0.0000 0.0000  6 O 2.03-2.14
Cu 0.0000 0.0000 0.5000  6 O 2.15-2.24
Cu 0.0000 0.5000 0.0000  6 O 2.15-2.24
Cu 0.0000 0.5000 0.5000  6 O 2.01-2.06
Cu 0.5000 0.0000 0.0000  6 O 2.15-2.24
Cu 0.5000 0.5000 0.5000  6 O 2.15-2.24
Pb 0.5000 0.5000 0.0000  6 O 2.27-2.32
O 0.2205 0.2528 0.4733  4 Cu 2.01-2.24
O 0.2205 0.7472 0.9677  4 Cu 2.01-2.24
O 0.2312 0.7312 0.5000  5 Cu 2.06-2.15
O 0.2402 0.2402 0.0000  5 Cu 2.14-2.15, 1 Pb 2.32
O 0.7598 0.7598 0.0000  5 Cu 2.14-2.15, 1 Pb 2.32
O 0.7688 0.2688 0.5000  5 Cu 2.06-2.15
O 0.7795 0.2528 0.0323  4 Cu 2.01-2.24
O 0.7795 0.7472 0.5267  4 Cu 2.01-2.24

If we sort the structures by their calculated energies, the order from most to least stable is #A, #C, #B.

#A
Below is a relaxed structure of CuPbSO6, with properties calculated at the PBE-GGA level.

abc: 4.4982 6.1290 9.9466
angles: 90.00 98.40 90.00
Closest atoms and distances in Å follow each position.
Fractional positions:
Cu 0.0000 0.0000 0.0000  4 O 1.93
Cu 0.0000 0.5000 0.0000  4 O 1.93
Pb 0.3517 0.2500 0.3513  3 O 2.42-2.47
Pb 0.6483 0.7500 0.6487  3 O 2.42-2.47
S 0.4826 0.2500 0.6879  4 O 1.47-1.52
S 0.5174 0.7500 0.3121  4 O 1.47-1.52
O 0.0797 0.7500 0.8928  1 O 1.52
O 0.2359 0.2500 0.0699  1 O 1.52
O 0.2900 0.0489 0.6725  1 S 1.50
O 0.2900 0.4511 0.6725  1 S 1.50
O 0.3143 0.7500 0.1825  1 S 1.47
O 0.3344 0.7500 0.4289  1 S 1.52
O 0.6656 0.2500 0.5711  1 S 1.52
O 0.6857 0.2500 0.8175  1 S 1.47
O 0.7100 0.5489 0.3275  1 S 1.50
O 0.7100 0.9511 0.3275  1 S 1.50
O 0.7641 0.7500 0.9301  1 O 1.52
O 0.9203 0.2500 0.1072  1 O 1.52

#B
Below is a relaxed structure of CuPbSO6, with properties calculated at the PBE-GGA level.

abc: 4.7571 5.5007 10.1099
angles: 90.00 102.26 90.00
Closest atoms and distances in Å follow each position.
Fractional positions:
Cu 0.0000 0.0000 0.0000  4 O 1.82-1.85
Cu 0.0000 0.5000 0.0000  4 O 1.82-1.85
Pb 0.3272 0.2500 0.3305  3 O 2.41-2.45
Pb 0.6728 0.7500 0.6695  3 O 2.41-2.45
S 0.1231 0.2500 0.6617  4 O 1.48-1.50
S 0.8769 0.7500 0.3383  4 O 1.48-1.50
O 0.0623 0.7500 0.4757  1 S 1.48
O 0.0683 0.0285 0.7396  1 S 1.50
O 0.0683 0.4715 0.7396  1 S 1.50
O 0.2330 0.2500 0.0827  2 Cu 1.85
O 0.2529 0.7500 0.0418  2 Cu 1.82
O 0.4325 0.2500 0.6526  1 S 1.49
O 0.5675 0.7500 0.3474  1 S 1.49
O 0.7471 0.2500 0.9582  2 Cu 1.82
O 0.7670 0.7500 0.9173  2 Cu 1.85
O 0.9317 0.5285 0.2604  1 S 1.50
O 0.9317 0.9715 0.2604  1 S 1.50
O 0.9377 0.2500 0.5243  1 S 1.48

If we sort the structures by their calculated energies, the order from most to least stable is #B, #A.